1.
A plane-wave DFT calculation with GGA-PBE was carried out for Cr3Si6N11 after structural relaxation.

Values from the calculation:
Space-group type = P4bm, No. 100

Cell lengths 9.8043, 9.8043, 4.8077 Å; angles 90.00, 90.00, 90.00 degrees
Last column: nearest neighbours and their distance in Å.
Element x y z (fractional)
Cr: 0.0000 0.0000 0.0000  4 N 2.23
Cr: 0.2108 0.2892 0.0178  5 N 2.12-2.22
Cr: 0.2892 0.7892 0.0178  5 N 2.12-2.22
Cr: 0.5000 0.5000 0.0000  4 N 2.23
Cr: 0.7108 0.2108 0.0178  5 N 2.12-2.22
Cr: 0.7892 0.7108 0.0178  5 N 2.12-2.22
Si: 0.0828 0.7964 0.6097  4 N 1.71-1.76
Si: 0.1173 0.6173 0.1376  4 N 1.64-1.78
Si: 0.2036 0.0828 0.6097  4 N 1.71-1.76
Si: 0.2964 0.5828 0.6097  4 N 1.71-1.76
Si: 0.3827 0.1173 0.1376  4 N 1.64-1.78
Si: 0.4172 0.2964 0.6097  4 N 1.71-1.76
Si: 0.5828 0.7036 0.6097  4 N 1.71-1.76
Si: 0.6173 0.8827 0.1376  4 N 1.64-1.78
Si: 0.7036 0.4172 0.6097  4 N 1.71-1.76
Si: 0.7964 0.9172 0.6097  4 N 1.71-1.76
Si: 0.8827 0.3827 0.1376  4 N 1.64-1.78
Si: 0.9172 0.2036 0.6097  4 N 1.71-1.76
N: 0.0000 0.5000 0.1871  2 Si 1.64
N: 0.0748 0.1797 0.7594  2 Si 1.72-1.74
N: 0.0952 0.7861 0.2560  2 Si 1.71-1.76
N: 0.1583 0.6583 0.7862  3 Si 1.76-1.78
N: 0.1797 0.9252 0.7594  2 Si 1.72-1.74
N: 0.2139 0.0952 0.2560  2 Si 1.71-1.76
N: 0.2861 0.5952 0.2560  2 Si 1.71-1.76
N: 0.3203 0.4252 0.7594  2 Si 1.72-1.74
N: 0.3417 0.1583 0.7862  3 Si 1.76-1.78
N: 0.4048 0.2861 0.2560  2 Si 1.71-1.76
N: 0.4252 0.6797 0.7594  2 Si 1.72-1.74
N: 0.5000 0.0000 0.1871  2 Si 1.64
N: 0.5748 0.3203 0.7594  2 Si 1.72-1.74
N: 0.5952 0.7139 0.2560  2 Si 1.71-1.76
N: 0.6583 0.8417 0.7862  3 Si 1.76-1.78
N: 0.6797 0.5748 0.7594  2 Si 1.72-1.74
N: 0.7139 0.4048 0.2560  2 Si 1.71-1.76
N: 0.7861 0.9048 0.2560  2 Si 1.71-1.76
N: 0.8203 0.0748 0.7594  2 Si 1.72-1.74
N: 0.8417 0.3417 0.7862  3 Si 1.76-1.78
N: 0.9048 0.2139 0.2560  2 Si 1.71-1.76
N: 0.9252 0.8203 0.7594  2 Si 1.72-1.74

=====

2.
A plane-wave DFT calculation with GGA-PBE was carried out for Er5C2Br9 after structural relaxation.

Values from the calculation:
Space-group type = P2_1/c, No. 14

Cell lengths 10.1575, 16.4541, 13.4333 Å; angles 90.00, 121.98, 90.00 degrees
Last column: nearest neighbours and their distance in Å.
Element x y z (fractional)
Er: 0.0110 0.0560 0.2625  1 C 2.19
Er: 0.0110 0.4440 0.7625  1 C 2.19
Er: 0.0131 0.6607 0.7195  2 C 2.44-2.50, 1 Br 2.70
Er: 0.0131 0.8393 0.2195  2 C 2.44-2.50, 1 Br 2.70
Er: 0.1608 0.0376 0.0330  4 C 2.48-2.66
Er: 0.1608 0.4624 0.5330  4 C 2.48-2.66
Er: 0.2097 0.6862 0.5543  1 C 2.19
Er: 0.2097 0.8138 0.0543  1 C 2.19
Er: 0.3545 0.5585 0.8099  2 C 2.44-2.50, 1 Br 2.70
Er: 0.3545 0.9415 0.3100  2 C 2.44-2.50, 1 Br 2.70
Er: 0.6455 0.0585 0.6901  2 C 2.44-2.50, 1 Br 2.70
Er: 0.6455 0.4415 0.1900  2 C 2.44-2.50, 1 Br 2.70
Er: 0.7903 0.1862 0.9457  1 C 2.19
Er: 0.7903 0.3138 0.4457  1 C 2.19
Er: 0.8392 0.5376 0.4670  4 C 2.48-2.66
Er: 0.8392 0.9624 0.9670  4 C 2.48-2.66
Er: 0.9869 0.1607 0.7805  2 C 2.44-2.50, 1 Br 2.70
Er: 0.9869 0.3393 0.2805  2 C 2.44-2.50, 1 Br 2.70
Er: 0.9890 0.5560 0.2375  1 C 2.19
Er: 0.9890 0.9440 0.7375  1 C 2.19
C: 0.0731 0.5294 0.6685  1 C 1.44
C: 0.0731 0.9706 0.1685  1 C 1.44
C: 0.1263 0.5885 0.6179  1 C 1.44
C: 0.1263 0.9115 0.1179  1 C 1.44
C: 0.8737 0.0885 0.8821  1 C 1.44
C: 0.8737 0.4115 0.3821  1 C 1.44
C: 0.9269 0.0294 0.8315  1 C 1.44
C: 0.9269 0.4706 0.3315  1 C 1.44
Br: 0.0792 0.2014 0.1733  3 Er 2.92-3.09
Br: 0.0792 0.2986 0.6733  3 Er 2.92-3.09
Br: 0.0874 0.0666 0.6556  2 Er 2.73-2.84
Br: 0.0874 0.4334 0.1556  2 Er 2.73-2.84
Br: 0.0952 0.6934 0.1399  3 Er 2.83-3.08
Br: 0.0952 0.8066 0.6399  3 Er 2.83-3.08
Br: 0.2795 0.1712 0.9687  2 Er 2.70-2.85
Br: 0.2795 0.3288 0.4687  2 Er 2.70-2.85
Br: 0.2954 0.5703 0.4406  3 Er 2.85-2.89
Br: 0.2954 0.9297 0.9406  3 Er 2.85-2.89
Br: 0.3018 0.6823 0.9361  3 Er 2.86-3.11
Br: 0.3018 0.8177 0.4361  3 Er 2.86-3.11
Br: 0.3199 0.0572 0.4583  3 Er 2.83-3.12
Br: 0.3199 0.4428 0.9583  3 Er 2.83-3.12
Br: 0.4631 0.0613 0.2348  2 Er 2.70-2.85
Br: 0.4631 0.4387 0.7348  2 Er 2.70-2.85
Br: 0.4998 0.1798 0.7489  2 Er 2.73-2.84
Br: 0.4998 0.3202 0.2489  2 Er 2.73-2.84
Br: 0.5002 0.6798 0.7511  2 Er 2.73-2.84
Br: 0.5002 0.8202 0.2511  2 Er 2.73-2.84
Br: 0.5369 0.5613 0.2652  2 Er 2.70-2.85
Br: 0.5369 0.9387 0.7652  2 Er 2.70-2.85
Br: 0.6801 0.5572 0.0417  3 Er 2.83-3.12
Br: 0.6801 0.9428 0.5417  3 Er 2.83-3.12
Br: 0.6982 0.1823 0.5639  3 Er 2.86-3.11
Br: 0.6982 0.3177 0.0639  3 Er 2.86-3.11
Br: 0.7046 0.0703 0.0594  3 Er 2.85-2.89
Br: 0.7046 0.4297 0.5594  3 Er 2.85-2.89
Br: 0.7205 0.6712 0.5313  2 Er 2.70-2.85
Br: 0.7205 0.8288 0.0313  2 Er 2.70-2.85
Br: 0.9048 0.1934 0.3601  3 Er 2.83-3.08
Br: 0.9048 0.3066 0.8601  3 Er 2.83-3.08
Br: 0.9126 0.5666 0.8444  2 Er 2.73-2.84
Br: 0.9126 0.9334 0.3444  2 Er 2.73-2.84
Br: 0.9208 0.7014 0.3267  3 Er 2.92-3.09
Br: 0.9208 0.7986 0.8267  3 Er 2.92-3.09

=====

3.
A plane-wave DFT calculation with GGA-PBE was carried out for Na3Y2Ge2P5SO24 after structural relaxation.

Values from the calculation:
Space-group type = P1, No. 1
Size of the total moment = 0.00 μB/atom

Cell lengths 8.8059, 8.8272, 22.4707 Å; angles 90.08, 90.26, 119.39 degrees
Last column: nearest neighbours and their distance in Å.
Element x y z (fractional)
Na: 0.0000 0.0000 0.0000  6 O 2.43-2.59
Na: 0.0042 0.6263 0.2506  4 O 2.27-2.49
Na: 0.0106 0.0227 0.4986  6 O 2.48-2.52
Na: 0.3397 0.6624 0.8396  5 O 2.40-2.66
Na: 0.3457 0.6696 0.3403  4 O 2.38-2.54
Na: 0.3814 0.0051 0.7508  6 O 2.27-2.52
Na: 0.6601 0.3227 0.1649  6 O 2.49-2.79
Na: 0.6671 0.3401 0.6654  6 O 2.53-2.68
Na: 0.9746 0.6704 0.5833  3 O 2.32-2.48
Y: 0.3369 0.6642 0.6919  6 O 2.12-2.26
Y: 0.3466 0.6792 0.1912  6 O 2.13-2.25
Y: 0.6569 0.3398 0.5128  6 O 2.16-2.27
Y: 0.6591 0.3410 0.3173  6 O 2.20-2.31
Y: 0.6685 0.3550 0.8171  6 O 2.21-2.31
Y: 0.6696 0.3487 0.0148  6 O 2.20-2.25
Ge: 0.0124 0.0141 0.3521  5 O 1.83-1.93
Ge: 0.3210 0.6606 0.4882  5 O 1.87-1.95
Ge: 0.3544 0.7118 0.9863  4 O 1.84-1.90
Ge: 0.9922 0.9991 0.1477  5 O 1.86-1.95
Ge: 0.9956 0.9995 0.8522  5 O 1.84-1.91
Ge: 0.9968 0.0124 0.6459  6 O 1.87-2.02
P: 0.0435 0.3718 0.5841  4 O 1.51-1.58
P: 0.0522 0.6936 0.0858  4 O 1.52-1.60
P: 0.2670 0.2743 0.7526  4 O 1.52-1.57
P: 0.2787 0.0174 0.2485  4 O 1.53-1.56
P: 0.3245 0.9636 0.5871  4 O 1.52-1.59
P: 0.3441 0.3442 0.4172  4 O 1.52-1.57
P: 0.3487 0.0289 0.9145  4 O 1.52-1.58
P: 0.6354 0.6932 0.5822  4 O 1.50-1.58
P: 0.6442 0.9720 0.0854  4 O 1.50-1.59
P: 0.6654 0.6662 0.9183  4 O 1.52-1.58
P: 0.7300 0.0165 0.7510  4 O 1.54-1.56
P: 0.7323 0.7383 0.2536  4 O 1.52-1.57
P: 0.9903 0.6645 0.4174  4 O 1.53-1.58
P: 0.9920 0.7305 0.7477  4 O 1.53-1.58
P: 0.9956 0.2780 0.2495  4 O 1.54-1.56
S: 0.3178 0.3728 0.0821  4 O 1.46-1.50
S: 0.6668 0.0214 0.4169  4 O 1.47-1.49
S: 0.9898 0.3458 0.9175  4 O 1.47-1.49
O: 0.0075 0.1883 0.3070  1 P 1.55
O: 0.0082 0.8362 0.8049  1 P 1.55
O: 0.0099 0.1883 0.9103  1 S 1.49
O: 0.0141 0.8517 0.4089  1 P 1.57
O: 0.0335 0.1914 0.5900  1 P 1.56
O: 0.0398 0.8658 0.0888  1 P 1.58
O: 0.1181 0.4872 0.6382  1 P 1.51
O: 0.1214 0.6639 0.1441  1 P 1.52
O: 0.1491 0.9729 0.5884  1 P 1.59
O: 0.1563 0.1863 0.4074  1 P 1.57
O: 0.1556 0.2000 0.0844  1 S 1.49
O: 0.1582 0.4606 0.2496  1 P 1.54
O: 0.1589 0.0001 0.9080  1 P 1.57
O: 0.1614 0.4593 0.5280  1 P 1.58
O: 0.1613 0.7209 0.7494  1 P 1.54
O: 0.1638 0.5024 0.9261  1 S 1.49
O: 0.1685 0.1824 0.8098  1 P 1.55
O: 0.1760 0.6844 0.4290  1 P 1.58
O: 0.1763 0.9992 0.3067  1 P 1.55
O: 0.1784 0.7194 0.0313  1 P 1.60
O: 0.1841 0.1691 0.6939  1 P 1.57
O: 0.1880 0.0323 0.1908  1 P 1.56
O: 0.2818 0.4532 0.7545  1 P 1.52
O: 0.2892 0.8302 0.5340  1 P 1.59
O: 0.2888 0.8482 0.2492  1 P 1.54
O: 0.3031 0.4666 0.0288  1 S 1.50
O: 0.3287 0.8432 0.9263  1 P 1.58
O: 0.3328 0.5139 0.4280  1 P 1.57
O: 0.3408 0.4690 0.1374  1 S 1.46
O: 0.3495 0.8934 0.6458  1 P 1.52
O: 0.4167 0.2989 0.4717  1 P 1.52
O: 0.4350 0.1477 0.9677  1 P 1.52
O: 0.4494 0.2888 0.7526  1 P 1.55
O: 0.4565 0.0976 0.8576  1 P 1.53
O: 0.4585 0.1790 0.2498  1 P 1.53
O: 0.4596 0.3795 0.3627  1 P 1.53
O: 0.4715 0.3471 0.0778  1 S 1.48
O: 0.4795 0.1432 0.5768  1 P 1.52
O: 0.4954 0.6803 0.9294  1 P 1.58
O: 0.5097 0.8487 0.4243  1 S 1.48
O: 0.5348 0.6616 0.6388  1 P 1.50
O: 0.5356 0.7099 0.5264  1 P 1.58
O: 0.5365 0.8889 0.1398  1 P 1.50
O: 0.5473 0.8547 0.7520  1 P 1.54
O: 0.5525 0.7222 0.2554  1 P 1.52
O: 0.5548 0.8567 0.0280  1 P 1.59
O: 0.6253 0.5521 0.8628  1 P 1.53
O: 0.6374 0.1031 0.3640  1 S 1.48
O: 0.6679 0.1535 0.0774  1 P 1.52
O: 0.6732 0.5410 0.5748  1 P 1.54
O: 0.6991 0.1311 0.4700  1 S 1.47
O: 0.7073 0.1790 0.7521  1 P 1.54
O: 0.7084 0.5892 0.9719  1 P 1.52
O: 0.7206 0.5582 0.2545  1 P 1.54
O: 0.8190 0.8636 0.5858  1 P 1.58
O: 0.8212 0.0058 0.8086  1 P 1.55
O: 0.8248 0.0017 0.4097  1 S 1.49
O: 0.8250 0.8525 0.9083  1 P 1.57
O: 0.8263 0.9799 0.0892  1 P 1.57
O: 0.8272 0.8420 0.3101  1 P 1.54
O: 0.8303 0.0296 0.6925  1 P 1.56
O: 0.8296 0.5510 0.7491  1 P 1.53
O: 0.8339 0.3031 0.2513  1 P 1.55
O: 0.8342 0.8168 0.1944  1 P 1.57
O: 0.8628 0.3528 0.5741  1 P 1.53
O: 0.8715 0.5393 0.0750  1 P 1.52
O: 0.8749 0.5842 0.4720  1 P 1.53
O: 0.8786 0.3135 0.9699  1 S 1.47
O: 0.9088 0.3753 0.8642  1 S 1.48
O: 0.9133 0.5507 0.3615  1 P 1.54
O: 0.9773 0.8157 0.6880  1 P 1.58
O: 0.9779 0.1742 0.1910  1 P 1.56

=====

4.
A plane-wave DFT calculation with GGA-PBE was carried out for Nd6Al43V4 after structural relaxation.

Values from the calculation:
Space-group type = P6_3/mcm, No. 193
Size of the total moment = 0.00 μB/atom

Cell lengths 11.0695, 11.0695, 17.8303 Å; angles 90.00, 90.00, 120.00 degrees
Last column: nearest neighbours and their distance in Å.
Element x y z (fractional)
Nd: 0.0000 0.4715 0.0955  14 Al 3.09-3.40
Nd: 0.0000 0.4715 0.4045  14 Al 3.09-3.40
Nd: 0.0000 0.5285 0.5955  14 Al 3.09-3.40
Nd: 0.0000 0.5285 0.9045  14 Al 3.09-3.40
Nd: 0.4715 0.0000 0.0955  14 Al 3.09-3.40
Nd: 0.4715 0.0000 0.4045  14 Al 3.09-3.40
Nd: 0.4715 0.4715 0.5955  14 Al 3.09-3.40
Nd: 0.4715 0.4715 0.9045  14 Al 3.09-3.40
Nd: 0.5285 0.0000 0.5955  14 Al 3.09-3.40
Nd: 0.5285 0.0000 0.9045  14 Al 3.09-3.40
Nd: 0.5285 0.5285 0.0955  14 Al 3.09-3.40
Nd: 0.5285 0.5285 0.4045  14 Al 3.09-3.40
Al: 0.0000 0.1440 0.7500  2 V 2.57, 6 Al 2.76-2.81
Al: 0.0000 0.1546 0.1162  2 V 2.69, 9 Al 2.75-2.96
Al: 0.0000 0.1546 0.3838  2 V 2.69, 9 Al 2.75-2.96
Al: 0.0000 0.2497 0.5297  9 Al 2.77-2.96, 1 V 2.81
Al: 0.0000 0.2497 0.9703  9 Al 2.77-2.96, 1 V 2.81
Al: 0.0000 0.7503 0.0297  9 Al 2.77-2.96, 1 V 2.81
Al: 0.0000 0.7503 0.4703  9 Al 2.77-2.96, 1 V 2.81
Al: 0.0000 0.8454 0.6162  2 V 2.69, 9 Al 2.75-2.96
Al: 0.0000 0.8454 0.8838  2 V 2.69, 9 Al 2.75-2.96
Al: 0.0000 0.8560 0.2500  2 V 2.57, 6 Al 2.76-2.81
Al: 0.1440 0.0000 0.7500  2 V 2.57, 6 Al 2.76-2.81
Al: 0.1440 0.1440 0.2500  2 V 2.57, 6 Al 2.76-2.81
Al: 0.1461 0.5481 0.2500  1 V 2.69, 7 Al 2.78-2.83
Al: 0.1461 0.5980 0.7500  1 V 2.69, 7 Al 2.78-2.83
Al: 0.1546 0.0000 0.1162  2 V 2.69, 9 Al 2.75-2.96
Al: 0.1546 0.0000 0.3838  2 V 2.69, 9 Al 2.75-2.96
Al: 0.1546 0.1546 0.6162  2 V 2.69, 9 Al 2.75-2.96
Al: 0.1546 0.1546 0.8838  2 V 2.69, 9 Al 2.75-2.96
Al: 0.1570 0.3903 0.6675  1 V 2.68, 7 Al 2.75-2.96
Al: 0.1570 0.3903 0.8325  1 V 2.68, 7 Al 2.75-2.96
Al: 0.1570 0.7666 0.1675  1 V 2.68, 7 Al 2.75-2.96
Al: 0.1570 0.7666 0.3325  1 V 2.68, 7 Al 2.75-2.96
Al: 0.2334 0.3903 0.1675  1 V 2.68, 7 Al 2.75-2.96
Al: 0.2334 0.3903 0.3325  1 V 2.68, 7 Al 2.75-2.96
Al: 0.2334 0.8430 0.6675  1 V 2.68, 7 Al 2.75-2.96
Al: 0.2334 0.8430 0.8325  1 V 2.68, 7 Al 2.75-2.96
Al: 0.2471 0.4942 0.0000  6 Al 2.77-2.86
Al: 0.2471 0.4942 0.5000  6 Al 2.77-2.86
Al: 0.2471 0.7529 0.0000  6 Al 2.77-2.86
Al: 0.2471 0.7529 0.5000  6 Al 2.77-2.86
Al: 0.2497 0.0000 0.5297  9 Al 2.77-2.96, 1 V 2.81
Al: 0.2497 0.0000 0.9703  9 Al 2.77-2.96, 1 V 2.81
Al: 0.2497 0.2497 0.0297  9 Al 2.77-2.96, 1 V 2.81
Al: 0.2497 0.2497 0.4703  9 Al 2.77-2.96, 1 V 2.81
Al: 0.3333 0.6667 0.1285  9 Al 2.77-2.83
Al: 0.3333 0.6667 0.3715  9 Al 2.77-2.83
Al: 0.3333 0.6667 0.6285  9 Al 2.77-2.83
Al: 0.3333 0.6667 0.8715  9 Al 2.77-2.83
Al: 0.3903 0.1570 0.6675  1 V 2.68, 7 Al 2.75-2.96
Al: 0.3903 0.1570 0.8325  1 V 2.68, 7 Al 2.75-2.96
Al: 0.3903 0.2334 0.1675  1 V 2.68, 7 Al 2.75-2.96
Al: 0.3903 0.2334 0.3325  1 V 2.68, 7 Al 2.75-2.96
Al: 0.4020 0.5481 0.7500  1 V 2.69, 7 Al 2.78-2.83
Al: 0.4020 0.8539 0.2500  1 V 2.69, 7 Al 2.78-2.83
Al: 0.4519 0.5980 0.2500  1 V 2.69, 7 Al 2.78-2.83
Al: 0.4519 0.8539 0.7500  1 V 2.69, 7 Al 2.78-2.83
Al: 0.4942 0.2471 0.0000  6 Al 2.77-2.86
Al: 0.4942 0.2471 0.5000  6 Al 2.77-2.86
Al: 0.5058 0.7529 0.0000  6 Al 2.77-2.86
Al: 0.5058 0.7529 0.5000  6 Al 2.77-2.86
Al: 0.5481 0.1461 0.2500  1 V 2.69, 7 Al 2.78-2.83
Al: 0.5481 0.4020 0.7500  1 V 2.69, 7 Al 2.78-2.83
Al: 0.5980 0.1461 0.7500  1 V 2.69, 7 Al 2.78-2.83
Al: 0.5980 0.4519 0.2500  1 V 2.69, 7 Al 2.78-2.83
Al: 0.6097 0.7666 0.6675  1 V 2.68, 7 Al 2.75-2.96
Al: 0.6097 0.7666 0.8325  1 V 2.68, 7 Al 2.75-2.96
Al: 0.6097 0.8430 0.1675  1 V 2.68, 7 Al 2.75-2.96
Al: 0.6097 0.8430 0.3325  1 V 2.68, 7 Al 2.75-2.96
Al: 0.6667 0.3333 0.1285  9 Al 2.77-2.83
Al: 0.6667 0.3333 0.3715  9 Al 2.77-2.83
Al: 0.6667 0.3333 0.6285  9 Al 2.77-2.83
Al: 0.6667 0.3333 0.8715  9 Al 2.77-2.83
Al: 0.7503 0.0000 0.0297  9 Al 2.77-2.96, 1 V 2.81
Al: 0.7503 0.0000 0.4703  9 Al 2.77-2.96, 1 V 2.81
Al: 0.7503 0.7503 0.5297  9 Al 2.77-2.96, 1 V 2.81
Al: 0.7503 0.7503 0.9703  9 Al 2.77-2.96, 1 V 2.81
Al: 0.7529 0.2471 0.0000  6 Al 2.77-2.86
Al: 0.7529 0.2471 0.5000  6 Al 2.77-2.86
Al: 0.7529 0.5058 0.0000  6 Al 2.77-2.86
Al: 0.7529 0.5058 0.5000  6 Al 2.77-2.86
Al: 0.7666 0.1570 0.1675  1 V 2.68, 7 Al 2.75-2.96
Al: 0.7666 0.1570 0.3325  1 V 2.68, 7 Al 2.75-2.96
Al: 0.7666 0.6097 0.6675  1 V 2.68, 7 Al 2.75-2.96
Al: 0.7666 0.6097 0.8325  1 V 2.68, 7 Al 2.75-2.96
Al: 0.8430 0.2334 0.6675  1 V 2.68, 7 Al 2.75-2.96
Al: 0.8430 0.2334 0.8325  1 V 2.68, 7 Al 2.75-2.96
Al: 0.8430 0.6097 0.1675  1 V 2.68, 7 Al 2.75-2.96
Al: 0.8430 0.6097 0.3325  1 V 2.68, 7 Al 2.75-2.96
Al: 0.8454 0.0000 0.6162  2 V 2.69, 9 Al 2.75-2.96
Al: 0.8454 0.0000 0.8838  2 V 2.69, 9 Al 2.75-2.96
Al: 0.8454 0.8454 0.1162  2 V 2.69, 9 Al 2.75-2.96
Al: 0.8454 0.8454 0.3838  2 V 2.69, 9 Al 2.75-2.96
Al: 0.8539 0.4020 0.2500  1 V 2.69, 7 Al 2.78-2.83
Al: 0.8539 0.4519 0.7500  1 V 2.69, 7 Al 2.78-2.83
Al: 0.8560 0.0000 0.2500  2 V 2.57, 6 Al 2.76-2.81
Al: 0.8560 0.8560 0.7500  2 V 2.57, 6 Al 2.76-2.81
V: 0.0000 0.0000 0.0000  12 Al 2.69-2.81
V: 0.0000 0.0000 0.5000  12 Al 2.69-2.81
V: 0.0000 0.2674 0.2500  10 Al 2.57-2.69
V: 0.0000 0.7326 0.7500  10 Al 2.57-2.69
V: 0.2674 0.0000 0.2500  10 Al 2.57-2.69
V: 0.2674 0.2674 0.7500  10 Al 2.57-2.69
V: 0.7326 0.0000 0.7500  10 Al 2.57-2.69
V: 0.7326 0.7326 0.2500  10 Al 2.57-2.69

=====

In the order shown, the computed ΔE_f values come out to -14.533, -30.165, -99.385, -16.226 eV/f.u..